# 1
This record from the Materials Project describes Li3Ni3P4O16 after structural relaxation. The functional is PBE with a Hubbard U.

Geometry as CIF:
```
data_Li3Ni3P4O16
_cell_length_a 18.622
_cell_length_b 6.464
_cell_length_c 10.378
_cell_angle_alpha 90.00
_cell_angle_beta 91.00
_cell_angle_gamma 90.00
_symmetry_space_group_name_H-M 'C 1 2/c 1'
_symmetry_Int_Tables_number 15
loop_
_symmetry_equiv_pos_as_xyz
'x,y,z'
'-x,-y,-z'
'-x,y,-z+1/2'
'x,-y,z+1/2'
'x+1/2,y+1/2,z'
'-x+1/2,-y+1/2,-z'
'-x+1/2,y+1/2,-z+1/2'
'x+1/2,-y+1/2,z+1/2'
loop_
_atom_site_label
_atom_site_fract_x
_atom_site_fract_y
_atom_site_fract_z
_atom_site_occupancy
Li1 0.000 0.064 0.250 1
Li2 0.080 0.344 0.961 1
Ni1 0.157 0.020 0.752 1
Ni2 0.250 0.250 0.500 1
P1 0.080 0.167 0.494 1
P2 0.198 0.482 0.247 1
O1 0.013 0.296 0.461 1
O2 0.075 0.056 0.627 1
O3 0.086 0.007 0.889 1
O4 0.145 0.315 0.493 1
O5 0.150 0.338 0.786 1
O6 0.152 0.294 0.210 1
O7 0.242 0.054 0.643 1
O8 0.245 0.026 0.363 1
```

Calculated values
Formation enthalpy at 0 K (eV per atom): -2.19
Energy above the most stable polymorph in this dataset (meV/atom): 0
Corrected total energy (MP2020 scheme) (eV/atom): -6.96

=====

# 2
This record from the Materials Project describes LiNi2P2O8 after structural relaxation. The functional is PBE with a Hubbard U.

Geometry as CIF:
```
data_LiNi2P2O8
_cell_length_a 10.018
_cell_length_b 4.978
_cell_length_c 14.030
_cell_angle_alpha 90.00
_cell_angle_beta 90.00
_cell_angle_gamma 90.00
_symmetry_space_group_name_H-M 'P c a 21'
_symmetry_Int_Tables_number 29
loop_
_symmetry_equiv_pos_as_xyz
'x,y,z'
'-x,-y,z+1/2'
'-x+1/2,y,z+1/2'
'x+1/2,-y,z'
loop_
_atom_site_label
_atom_site_fract_x
_atom_site_fract_y
_atom_site_fract_z
_atom_site_occupancy
Li1 0.226 0.050 0.000 1
Ni1 0.036 0.558 0.001 1
Ni2 0.231 0.043 0.250 1
P1 0.025 0.938 0.625 1
P2 0.214 0.554 0.378 1
O1 0.004 0.630 0.610 1
O2 0.041 0.985 0.219 1
O3 0.044 0.923 0.037 1
O4 0.063 0.489 0.394 1
O5 0.175 0.006 0.624 1
O6 0.210 0.438 0.967 1
O7 0.239 0.860 0.377 1
O8 0.246 0.422 0.784 1
```

Calculated values
Formation enthalpy at 0 K (eV per atom): -2.13
Energy above the most stable polymorph in this dataset (meV/atom): 42
Corrected total energy (MP2020 scheme) (eV/atom): -7.04

=====

# 3
This record from the Materials Project describes LiNi4P3O12 after structural relaxation. The functional is PBE with a Hubbard U.

Geometry as CIF:
```
data_LiNi4P3O12
_cell_length_a 11.554
_cell_length_b 12.572
_cell_length_c 6.512
_cell_angle_alpha 90.00
_cell_angle_beta 114.30
_cell_angle_gamma 90.00
_symmetry_space_group_name_H-M 'C 1 2/c 1'
_symmetry_Int_Tables_number 15
loop_
_symmetry_equiv_pos_as_xyz
'x,y,z'
'-x,-y,-z'
'-x,y,-z+1/2'
'x,-y,z+1/2'
'x+1/2,y+1/2,z'
'-x+1/2,-y+1/2,-z'
'-x+1/2,y+1/2,-z+1/2'
'x+1/2,-y+1/2,z+1/2'
loop_
_atom_site_label
_atom_site_fract_x
_atom_site_fract_y
_atom_site_fract_z
_atom_site_occupancy
Li1 0.000 0.001 0.250 1
Ni1 0.000 0.263 0.250 1
Ni2 0.000 0.495 0.750 1
Ni3 0.212 0.159 0.123 1
P1 0.000 0.291 0.750 1
P2 0.227 0.110 0.621 1
O1 0.035 0.223 0.964 1
O2 0.103 0.375 0.757 1
O3 0.127 0.397 0.329 1
O4 0.159 0.002 0.601 1
O5 0.159 0.166 0.388 1
O6 0.220 0.179 0.811 1
```

Calculated values
Formation enthalpy at 0 K (eV per atom): -2.14
Energy above the most stable polymorph in this dataset (meV/atom): 29
Corrected total energy (MP2020 scheme) (eV/atom): -7.18

=====

# 4
This record from the Materials Project describes LiNiP5O15 after structural relaxation. The functional is PBE with a Hubbard U.

Geometry as CIF:
```
data_LiNiP5O15
_cell_length_a 9.026
_cell_length_b 13.651
_cell_length_c 10.213
_cell_angle_alpha 90.00
_cell_angle_beta 100.57
_cell_angle_gamma 90.00
_symmetry_space_group_name_H-M 'P 1 21/c 1'
_symmetry_Int_Tables_number 14
loop_
_symmetry_equiv_pos_as_xyz
'x,y,z'
'-x,-y,-z'
'-x,y+1/2,-z+1/2'
'x,-y+1/2,z+1/2'
loop_
_atom_site_label
_atom_site_fract_x
_atom_site_fract_y
_atom_site_fract_z
_atom_site_occupancy
Li1 0.100 0.104 0.283 1
Ni1 0.500 0.000 0.000 1
Ni2 0.500 0.000 0.500 1
P1 0.001 0.749 0.480 1
P2 0.189 0.583 0.074 1
P3 0.197 0.572 0.588 1
P4 0.479 0.641 0.250 1
P5 0.480 0.638 0.754 1
O1 0.067 0.545 0.139 1
O2 0.079 0.232 0.405 1
O3 0.099 0.510 0.656 1
O4 0.104 0.653 0.495 1
O5 0.107 0.237 0.151 1
O6 0.126 0.669 0.968 1
O7 0.277 0.512 0.005 1
O8 0.286 0.515 0.503 1
O9 0.303 0.643 0.692 1
O10 0.305 0.647 0.182 1
O11 0.431 0.078 0.326 1
O12 0.437 0.072 0.824 1
O13 0.469 0.248 0.768 1
O14 0.494 0.625 0.398 1
O15 0.496 0.624 0.904 1
```

Calculated values
Formation enthalpy at 0 K (eV per atom): -2.30
Energy above the most stable polymorph in this dataset (meV/atom): 0
Corrected total energy (MP2020 scheme) (eV/atom): -7.25

=====

# 5
This record from the Materials Project describes LiNiPO4 after structural relaxation. The functional is PBE with a Hubbard U.

Geometry as CIF:
```
data_LiNiPO4
_cell_length_a 5.643
_cell_length_b 8.408
_cell_length_c 6.159
_cell_angle_alpha 90.00
_cell_angle_beta 90.00
_cell_angle_gamma 90.00
_symmetry_space_group_name_H-M 'C m c m'
_symmetry_Int_Tables_number 63
_symmetry_space_group_name_Hall '-C 2c 2'
loop_
_atom_site_label
_atom_site_fract_x
_atom_site_fract_y
_atom_site_fract_z
_atom_site_occupancy
Li1 0.000 0.000 0.000 1
Ni1 0.000 0.328 0.250 1
P1 0.000 0.359 0.750 1
O1 0.000 0.250 0.549 1
O2 0.219 0.473 0.750 1
```

Calculated values
Formation enthalpy at 0 K (eV per atom): -2.26
Energy above the most stable polymorph in this dataset (meV/atom): 102
Corrected total energy (MP2020 scheme) (eV/atom): -6.96

=====

# 6
This record from the Materials Project describes LiNiPO4 after structural relaxation. The functional is PBE with a Hubbard U.

Geometry as CIF:
```
data_LiNiPO4
_cell_length_a 9.9010
_cell_length_b 9.9010
_cell_length_c 22.5801
_cell_angle_alpha 90.00
_cell_angle_beta 90.00
_cell_angle_gamma 120.00
_symmetry_space_group_name_H-M 'P 65'
_symmetry_Int_Tables_number 170
loop_
_symmetry_equiv_pos_as_xyz
'x,y,z'
'x-y,x,z+5/6'
'-y,x-y,z+2/3'
'-x,-y,z+1/2'
'-x+y,-x,z+1/3'
'y,-x+y,z+1/6'
loop_
_atom_site_label
_atom_site_fract_x
_atom_site_fract_y
_atom_site_fract_z
_atom_site_occupancy
Li1 0.0050 0.4666 0.0079 1
Li2 0.0411 0.9419 0.8333 1
Li3 0.0638 0.5184 0.6746 1
Li4 0.0742 0.5819 0.3334 1
Ni1 0.1035 0.2956 0.1002 1
Ni2 0.1455 0.8308 0.0991 1
Ni3 0.1804 0.7782 0.7985 1
Ni4 0.3001 0.6461 0.9033 1
P1 0.1242 0.3571 0.2334 1
P2 0.1258 0.7799 0.9323 1
P3 0.1449 0.3166 0.9000 1
P4 0.3132 0.6355 0.0940 1
O1 0.0069 0.6877 0.9820 1
O2 0.0082 0.2134 0.2708 1
O3 0.0128 0.7040 0.2211 1
O4 0.0210 0.1564 0.9243 1
O5 0.0488 0.3592 0.1735 1
O6 0.0669 0.1894 0.5866 1
O7 0.0735 0.7279 0.5541 1
O8 0.0812 0.6768 0.8754 1
O9 0.0940 0.3565 0.8403 1
O10 0.1622 0.6432 0.0930 1
O11 0.1633 0.5078 0.2677 1
O12 0.1694 0.4462 0.9448 1
O13 0.1871 0.4777 0.6166 1
O14 0.1999 0.7174 0.3977 1
O15 0.2197 0.6698 0.7310 1
O16 0.2548 0.6202 0.4909 1
```

Calculated values
Formation enthalpy at 0 K (eV per atom): -2.24
Energy above the most stable polymorph in this dataset (meV/atom): 124
Corrected total energy (MP2020 scheme) (eV/atom): -6.94